## MgBi2O4 (PBE)

Data for an optimized crystal structure of MgBi2O4.

CIF file:
```
data_MgBi2O4
_chemical_formula_sum 'Mg2 Bi4 O8'
_space_group_name_H-M_alt 'P 1'
_space_group_IT_number 1
_cell_length_a 6.9293
_cell_length_b 6.9293
_cell_length_c 10.4668
_cell_angle_alpha 68.10
_cell_angle_beta 68.10
_cell_angle_gamma 28.40
loop_
_space_group_symop_operation_xyz
'x,y,z'
loop_
_atom_site_label
_atom_site_type_symbol
_atom_site_fract_x
_atom_site_fract_y
_atom_site_fract_z
_atom_site_occupancy
Mg1 Mg 0.7381 0.7381 0.2560 1
O1 O 0.5917 0.5917 0.2326 1
Bi1 Bi 0.8843 0.8843 0.9164 1
O2 O 0.1055 0.1055 0.7498 1
O3 O 0.2715 0.2715 0.1028 1
Bi2 Bi 0.3824 0.3824 0.3934 1
O4 O 0.7833 0.7833 0.6002 1
O5 O 0.2167 0.2167 0.3998 1
O6 O 0.8945 0.8945 0.2502 1
O7 O 0.4083 0.4083 0.7674 1
O8 O 0.7285 0.7285 0.8972 1
Mg2 Mg 0.2619 0.2619 0.7440 1
Bi3 Bi 0.6176 0.6176 0.6066 1
Bi4 Bi 0.1157 0.1157 0.0836 1
```

Output
- SG: No. 12
- Calculated volume: 15.8 A^3/atom
- ΔH_f (0 K): -1.998 eV/atom
- Relative energy among the computed polymorphs: 0.000 eV/atom
- Mass density: 7.620 Mg/m³